First-principles (PBE) data for a relaxed structure of Na2CaSn2Ge3O12, as listed in the Materials Project database.

formation energy from the elements: -53.29 kcal/mol of atoms

Structure (POSCAR):
```
Na2CaSn2Ge3O12
1.0
-6.3020 6.3020 6.3303
6.3020 -6.3020 6.3303
6.3020 6.3020 -6.3303
Na Ca Sn Ge O
8 4 8 12 48
Direct
0.1239 0.2500 0.3739 Na
0.2500 0.3761 0.1261 Na
0.2500 0.8761 0.6261 Na
0.3761 0.7500 0.1261 Na
0.6239 0.2500 0.8739 Na
0.7500 0.1239 0.3739 Na
0.7500 0.6239 0.8739 Na
0.8761 0.7500 0.6261 Na
0.1250 0.3750 0.7500 Ca
0.3750 0.1250 0.2500 Ca
0.6250 0.8750 0.7500 Ca
0.8750 0.6250 0.2500 Ca
0.0000 0.0000 0.0000 Sn
0.0000 0.0000 0.5000 Sn
0.0000 0.5000 0.0000 Sn
0.0000 0.5000 0.5000 Sn
0.5000 0.0000 0.0000 Sn
0.5000 0.0000 0.5000 Sn
0.5000 0.5000 0.0000 Sn
0.5000 0.5000 0.5000 Sn
0.1247 0.7500 0.8747 Ge
0.1250 0.8750 0.2500 Ge
0.2500 0.1247 0.8747 Ge
0.2500 0.6247 0.3747 Ge
0.3753 0.2500 0.6253 Ge
0.3750 0.6250 0.7500 Ge
0.6250 0.3750 0.2500 Ge
0.6247 0.7500 0.3747 Ge
0.7500 0.3753 0.6253 Ge
0.7500 0.8753 0.1253 Ge
0.8750 0.1250 0.7500 Ge
0.8753 0.2500 0.1253 Ge
0.0140 0.2029 0.1154 O
0.0164 0.3123 0.8940 O
0.0817 0.8775 0.3940 O
0.0874 0.7029 0.6888 O
0.1002 0.6177 0.4116 O
0.1014 0.9860 0.6888 O
0.1177 0.6002 0.9116 O
0.1225 0.0164 0.2042 O
0.1877 0.4836 0.6060 O
0.1885 0.2061 0.5884 O
0.2029 0.5874 0.1888 O
0.2061 0.1177 0.0176 O
0.2939 0.3115 0.9116 O
0.2971 0.4860 0.3846 O
0.3115 0.8998 0.0176 O
0.3123 0.9183 0.2958 O
0.3775 0.5817 0.8940 O
0.3823 0.2939 0.4824 O
0.3986 0.0874 0.8846 O
0.3998 0.8115 0.5176 O
0.4126 0.1014 0.6154 O
0.4183 0.8123 0.7958 O
0.4836 0.3775 0.2958 O
0.4860 0.6014 0.1888 O
0.5140 0.3986 0.8112 O
0.5164 0.6225 0.7042 O
0.5817 0.1877 0.2042 O
0.5874 0.8986 0.3846 O
0.6002 0.1885 0.4824 O
0.6014 0.9126 0.1154 O
0.6177 0.7061 0.5176 O
0.6225 0.4183 0.1060 O
0.6877 0.0817 0.7042 O
0.6885 0.1002 0.9824 O
0.7029 0.5140 0.6154 O
0.7061 0.6885 0.0884 O
0.7939 0.8823 0.9824 O
0.7971 0.4126 0.8112 O
0.8115 0.7939 0.4116 O
0.8123 0.5164 0.3940 O
0.8775 0.9836 0.7958 O
0.8823 0.3998 0.0884 O
0.8986 0.0140 0.3112 O
0.8998 0.3823 0.5884 O
0.9126 0.2971 0.3112 O
0.9183 0.1225 0.6060 O
0.9836 0.6877 0.1060 O
0.9860 0.7971 0.8846 O
```